Compound: Li5Mn2CoO8
Source: Materials Project
Functional: PBE+U
Structure: relaxed

Lattice parameters (Å, degrees): 4.9885 5.8797 5.8797 119.81 73.57 106.43
With the nearest neighbours (Å) after each atom.
Atoms (fractional coordinates):
1 Co 0.5000 0.2642 0.2642  6 O 1.95-2.15
2 Li 0.9980 0.9969 0.4964  6 O 2.08-2.26
3 Li 0.5044 0.2526 0.7502  6 O 2.03-2.23
4 O 0.7213 0.6314 0.3998  1 Mn 1.89, 1 Co 1.99, 3 Li 2.03-2.10
5 Mn 0.5000 0.7453 0.7453  6 O 1.89-2.01
6 Mn 0.0000 0.9975 0.9975  6 O 1.93-1.95
7 O 0.7528 0.1198 0.3386  1 Mn 1.93, 1 Co 1.95, 2 Li 2.08-2.10
8 O 0.2472 0.3386 0.1198  1 Mn 1.93, 1 Co 1.95, 2 Li 2.08-2.10
9 Li 0.0000 0.4992 0.4992  6 O 2.10
10 O 0.7479 0.6540 0.8770  2 Mn 1.94-1.95, 2 Li 2.09-2.10
11 Li 0.4956 0.7502 0.2526  6 O 2.03-2.23
12 O 0.7542 0.1023 0.8749  2 Mn 1.94-2.01, 3 Li 2.08-2.16, 1 Co 2.15
13 O 0.2521 0.8770 0.6540  2 Mn 1.94-1.95, 2 Li 2.09-2.10
14 O 0.2787 0.3998 0.6314  1 Mn 1.89, 1 Co 1.99, 3 Li 2.03-2.10
15 O 0.2458 0.8749 0.1023  2 Mn 1.94-2.01, 3 Li 2.08-2.16, 1 Co 2.15
16 Li 0.0020 0.4964 0.9969  6 O 2.08-2.26

Results
ΔH_f (0 K)   -196.20 kJ per mole of atoms
Space-group type   C2 (5)
Total magnetic moment   0.125 μB/atom
ΔE to the lowest computed polymorph   0.001 eV/atom
Energy with MP2020 corrections   -6.693 eV per atom
E   -6.039 eV per atom
Crystal system   monoclinic

=====

Compound: Li7Mn2Co3O12
Source: Materials Project
Functional: PBE+U
Structure: relaxed

Lattice parameters (Å, degrees): 5.0335 5.0335 9.7932 84.94 84.94 120.38
With the nearest neighbours (Å) after each atom.
Atoms (fractional coordinates):
1 Li 0.0908 0.4218 0.7464  6 O 2.04-2.22
2 Co 0.1648 0.8352 0.5000  6 O 1.90-1.95
3 O 0.6482 0.6417 0.1174  1 Mn 1.94, 3 Li 2.06-2.16, 2 Co 2.07-2.09
4 O 0.1047 0.1009 0.6096  1 Co 1.91, 1 Mn 1.94, 2 Li 2.03-2.09
5 O 0.0231 0.7144 0.8857  1 Mn 1.94, 2 Co 1.99-2.09, 2 Li 2.07-2.14
6 Mn 0.9992 0.0008 0.0000  6 O 1.93-1.94
7 Co 0.3328 0.6672 0.0000  6 O 2.08-2.09
8 O 0.9508 0.2695 0.1164  1 Mn 1.93, 2 Co 2.01-2.08, 2 Li 2.07-2.16
9 O 0.7305 0.0492 0.8836  1 Mn 1.93, 2 Co 2.01-2.08, 2 Li 2.07-2.16
10 O 0.5319 0.1724 0.3904  1 Co 1.90, 1 Mn 1.95, 2 Li 2.04-2.11
11 Li 0.9131 0.5856 0.2536  6 O 2.04-2.24
12 Li 0.4992 0.5008 0.5000  6 O 2.09-2.11
13 O 0.3583 0.3518 0.8826  1 Mn 1.94, 3 Li 2.06-2.16, 2 Co 2.07-2.09
14 Li 0.5782 0.9092 0.2536  6 O 2.04-2.22
15 Li 0.4144 0.0869 0.7464  6 O 2.04-2.24
16 O 0.4608 0.8214 0.6118  1 Mn 1.93, 1 Co 1.95, 3 Li 2.04-2.14
17 Co 0.6704 0.3296 0.0000  6 O 1.99-2.07
18 O 0.8276 0.4681 0.6096  1 Co 1.90, 1 Mn 1.95, 2 Li 2.04-2.11
19 O 0.1786 0.5392 0.3882  1 Mn 1.93, 1 Co 1.95, 3 Li 2.04-2.14
20 Li 0.2559 0.2519 0.2534  6 O 2.03-2.19
21 O 0.2856 0.9769 0.1143  1 Mn 1.94, 2 Co 1.99-2.09, 2 Li 2.07-2.14
22 O 0.8991 0.8953 0.3904  1 Co 1.91, 1 Mn 1.94, 2 Li 2.03-2.09
23 Mn 0.8339 0.1661 0.5000  6 O 1.93-1.95
24 Li 0.7481 0.7441 0.7466  6 O 2.03-2.19

Results
ΔH_f (0 K)   -179.84 kJ per mole of atoms
Space-group type   C2 (5)
Total magnetic moment   0.274 μB/atom
ΔE to the lowest computed polymorph   0.069 eV/atom
Energy with MP2020 corrections   -6.547 eV per atom
E   -5.859 eV per atom
Crystal system   monoclinic

=====

- Look up the ΔE to the lowest computed polymorph of the second one.
  0.069 eV/atom

=====

- Which formula does entry 2 have?
  Li7Mn2Co3O12

=====

- Among the records above, which one has the lowest ΔE to the lowest computed polymorph?
  Li5Mn2CoO8

=====

- ΔH_f (0 K) of number 1 (Li5Mn2CoO8)?
  -196.20 kJ per mole of atoms